This record from the Materials Project describes a relaxed structure of Dy2Cr2C3. The functional is PBE.

```
data_Dy2Cr2C3
_chemical_formula_sum 'Dy4 Cr4 C6'
_cell_length_a 10.439
_cell_length_b 3.368
_cell_length_c 5.583
_cell_angle_alpha 90.00
_cell_angle_beta 105.84
_cell_angle_gamma 90.00
_symmetry_space_group_name_H-M 'C 1 2/m 1'
_symmetry_Int_Tables_number 12
_symmetry_space_group_name_Hall '-C 2y'
loop_
_atom_site_label
_atom_site_type_symbol
_atom_site_fract_x
_atom_site_fract_y
_atom_site_fract_z
Dy1 Dy 0.106 0.000 0.317
Cr1 Cr 0.157 0.500 0.891
C1 C 0.000 0.500 0.000
C2 C 0.215 0.000 0.770
```


# DyCr2Si2C, relaxed, DFT PBE
# M_tot: 1.29 μB per cell
data_DyCr2Si2C
_chemical_formula_sum 'Dy1 Cr2 Si2 C1'
_cell_length_a 3.979
_cell_length_b 3.979
_cell_length_c 5.235
_cell_angle_alpha 90.00
_cell_angle_beta 90.00
_cell_angle_gamma 90.00
_symmetry_space_group_name_H-M 'P 4/m m m'
_symmetry_Int_Tables_number 123
_symmetry_space_group_name_Hall '-P 4 2'
loop_
_atom_site_label
_atom_site_type_symbol
_atom_site_fract_x
_atom_site_fract_y
_atom_site_fract_z
Dy1 Dy 0.000 0.000 0.000
Cr1 Cr 0.000 0.500 0.500
Si1 Si 0.500 0.500 0.229
C1 C 0.000 0.000 0.500


# Cr21Fe2C6, relaxed, DFT PBE
# M_tot: 10.19 μB per cell
data_Cr21Fe2C6
_chemical_formula_sum 'Cr84 Fe8 C24'
_cell_length_a 10.554
_cell_length_b 10.554
_cell_length_c 10.554
_cell_angle_alpha 90.00
_cell_angle_beta 90.00
_cell_angle_gamma 90.00
_symmetry_space_group_name_H-M 'F m -3 m'
_symmetry_Int_Tables_number 225
_symmetry_space_group_name_Hall '-F 4 2 3'
loop_
_atom_site_label
_atom_site_type_symbol
_atom_site_fract_x
_atom_site_fract_y
_atom_site_fract_z
Cr1 Cr 0.000 0.000 0.000
Cr2 Cr 0.000 0.170 0.170
Cr3 Cr 0.118 0.118 0.382
Fe1 Fe 0.250 0.250 0.250
C1 C 0.000 0.000 0.277


# Sm4CrFe33C4, relaxed, DFT PBE
# M_tot: 65.21 μB per cell
data_Sm4CrFe33C4
_chemical_formula_sum 'Sm4 Cr1 Fe33 C4'
_cell_length_a 6.480
_cell_length_b 6.504
_cell_length_c 13.006
_cell_angle_alpha 83.55
_cell_angle_beta 83.56
_cell_angle_gamma 83.68
_symmetry_space_group_name_H-M 'P 1'
_symmetry_Int_Tables_number 1
_symmetry_space_group_name_Hall 'P 1'
loop_
_atom_site_label
_atom_site_type_symbol
_atom_site_fract_x
_atom_site_fract_y
_atom_site_fract_z
Sm1 Sm 0.000 0.000 0.000
Sm2 Sm 0.001 0.002 0.500
Sm3 Sm 0.295 0.326 0.148
Sm4 Sm 0.302 0.334 0.651
Cr1 Cr 0.558 0.574 0.279
Fe1 Fe 0.151 0.667 0.826
Fe2 Fe 0.153 0.667 0.325
Fe3 Fe 0.307 0.326 0.898
Fe4 Fe 0.307 0.812 0.154
Fe5 Fe 0.308 0.328 0.398
Fe6 Fe 0.310 0.813 0.655
Fe7 Fe 0.367 0.667 0.968
Fe8 Fe 0.367 0.953 0.825
Fe9 Fe 0.367 0.956 0.325
Fe10 Fe 0.369 0.667 0.467
Fe11 Fe 0.506 0.006 0.998
Fe12 Fe 0.507 0.007 0.497
Fe13 Fe 0.556 0.571 0.778
Fe14 Fe 0.650 0.667 0.077
Fe15 Fe 0.650 0.954 0.683
Fe16 Fe 0.651 0.167 0.826
Fe17 Fe 0.651 0.170 0.325
Fe18 Fe 0.651 0.955 0.184
Fe19 Fe 0.652 0.382 0.969
Fe20 Fe 0.652 0.668 0.575
Fe21 Fe 0.655 0.382 0.469
Fe22 Fe 0.742 0.759 0.373
Fe23 Fe 0.747 0.763 0.873
Fe24 Fe 0.797 0.326 0.654
Fe25 Fe 0.797 0.327 0.153
Fe26 Fe 0.934 0.667 0.684
Fe27 Fe 0.936 0.382 0.826
Fe28 Fe 0.936 0.665 0.184
Fe29 Fe 0.939 0.382 0.327
Fe30 Fe 0.993 0.521 0.997
Fe31 Fe 0.994 0.005 0.254
Fe32 Fe 0.994 0.008 0.753
Fe33 Fe 0.995 0.524 0.496
C1 C 0.151 0.167 0.325
C2 C 0.151 0.167 0.825
C3 C 0.651 0.167 0.076
C4 C 0.651 0.167 0.575


# Sm2CrFe16C2, relaxed, DFT PBE
# M_tot: 0.15 μB per cell
data_Sm2CrFe16C2
_chemical_formula_sum 'Sm4 Cr2 Fe32 C4'
_cell_length_a 9.707
_cell_length_b 8.625
_cell_length_c 6.511
_cell_angle_alpha 90.00
_cell_angle_beta 99.05
_cell_angle_gamma 90.00
_symmetry_space_group_name_H-M 'C 1 m 1'
_symmetry_Int_Tables_number 8
_symmetry_space_group_name_Hall 'C -2y'
loop_
_atom_site_label
_atom_site_type_symbol
_atom_site_fract_x
_atom_site_fract_y
_atom_site_fract_z
Sm1 Sm 0.000 0.000 0.000
Sm2 Sm 0.206 0.500 0.325
Cr1 Cr 0.262 0.000 0.752
Fe1 Fe 0.000 0.358 0.944
Fe2 Fe 0.015 0.000 0.515
Fe3 Fe 0.106 0.249 0.660
Fe4 Fe 0.197 0.500 0.803
Fe5 Fe 0.214 0.141 0.372
Fe6 Fe 0.255 0.244 0.000
Fe7 Fe 0.355 0.000 0.158
Fe8 Fe 0.356 0.284 0.661
Fe9 Fe 0.448 0.000 0.569
Fe10 Fe 0.455 0.244 0.322
C1 C 0.105 0.250 0.160


# Sm4Cr3Fe31C4, relaxed, DFT PBE
# M_tot: 54.82 μB per cell
data_Sm4Cr3Fe31C4
_chemical_formula_sum 'Sm4 Cr3 Fe31 C4'
_cell_length_a 6.480
_cell_length_b 6.488
_cell_length_c 12.934
_cell_angle_alpha 83.44
_cell_angle_beta 83.58
_cell_angle_gamma 83.47
_symmetry_space_group_name_H-M 'P 1'
_symmetry_Int_Tables_number 1
_symmetry_space_group_name_Hall 'P 1'
loop_
_atom_site_label
_atom_site_type_symbol
_atom_site_fract_x
_atom_site_fract_y
_atom_site_fract_z
Sm1 Sm 0.000 0.000 0.000
Sm2 Sm 0.002 0.002 0.500
Sm3 Sm 0.674 0.703 0.351
Sm4 Sm 0.677 0.707 0.853
Cr1 Cr 0.249 0.266 0.132
Cr2 Cr 0.422 0.438 0.219
Cr3 Cr 0.430 0.446 0.722
Fe1 Fe 0.047 0.635 0.677
Fe2 Fe 0.048 0.352 0.817
Fe3 Fe 0.048 0.636 0.177
Fe4 Fe 0.049 0.354 0.317
Fe5 Fe 0.192 0.692 0.847
Fe6 Fe 0.192 0.693 0.346
Fe7 Fe 0.244 0.259 0.629
Fe8 Fe 0.336 0.351 0.925
Fe9 Fe 0.336 0.352 0.424
Fe10 Fe 0.336 0.634 0.034
Fe11 Fe 0.336 0.850 0.676
Fe12 Fe 0.337 0.067 0.816
Fe13 Fe 0.337 0.633 0.534
Fe14 Fe 0.337 0.851 0.175
Fe15 Fe 0.338 0.070 0.316
Fe16 Fe 0.479 0.009 0.505
Fe17 Fe 0.480 0.012 0.004
Fe18 Fe 0.621 0.348 0.532
Fe19 Fe 0.622 0.064 0.674
Fe20 Fe 0.623 0.350 0.033
Fe21 Fe 0.625 0.066 0.173
Fe22 Fe 0.675 0.694 0.104
Fe23 Fe 0.676 0.208 0.847
Fe24 Fe 0.677 0.209 0.346
Fe25 Fe 0.677 0.695 0.603
Fe26 Fe 0.835 0.352 0.676
Fe27 Fe 0.836 0.352 0.175
Fe28 Fe 0.997 0.009 0.247
Fe29 Fe 0.997 0.495 0.504
Fe30 Fe 0.998 0.008 0.747
Fe31 Fe 0.998 0.494 0.004
C1 C 0.836 0.352 0.926
C2 C 0.836 0.852 0.175
C3 C 0.836 0.852 0.676
C4 C 0.837 0.352 0.425


Calculated values (kJ/mol of formula units) of formation energy for the records, taken in order: -206 -266 -137 -122 354 -83.